A relaxed Na14Ca5Si6Ge3S6O48 crystal. Source: Materials Project, functional PBE-GGA.

Calculated values
Space-group type ... P1 (1)
E_tot ... -1516.93 eV for the cell shown

```
Na14Ca5Si6Ge3S6O48
1.0
-4.780 10.509 -14.750
0.484 -9.245 -0.789
-21.837 -1.425 5.554
S O Ge Na Si Ca
18 144 9 42 18 15
Direct
0.984 0.324 0.582
0.312 0.650 0.911
0.483 0.322 0.582
0.984 0.642 0.085
0.507 0.316 0.253
0.313 0.967 0.414
0.338 0.652 0.582
0.009 0.302 0.246
0.336 0.042 0.079
0.015 0.659 0.415
0.515 0.662 0.417
0.018 0.377 0.918
0.816 0.661 0.914
0.009 0.709 0.752
0.842 0.027 0.080
0.508 0.715 0.749
0.513 0.373 0.917
0.811 0.968 0.412
0.431 0.366 0.917
0.832 0.545 0.643
0.944 0.540 0.137
0.503 0.204 0.914
0.767 0.856 0.081
0.089 0.462 0.243
0.417 0.849 0.196
0.676 0.840 0.852
0.930 0.855 0.599
0.239 0.107 0.640
0.310 0.487 0.912
0.865 0.599 0.526
0.913 0.842 0.192
0.335 0.149 0.748
0.613 0.203 0.816
0.744 0.357 0.749
0.083 0.206 0.410
0.013 0.197 0.194
0.590 0.231 0.700
0.401 0.502 0.023
0.918 0.012 0.081
0.729 0.106 0.645
0.896 0.783 0.314
0.586 0.708 0.746
0.901 0.809 0.913
0.892 0.997 0.817
0.083 0.032 0.603
0.239 0.360 0.737
0.586 0.921 0.197
0.820 0.136 0.412
0.848 0.119 0.025
0.263 0.700 0.248
0.068 0.485 0.868
0.838 0.120 0.131
0.846 0.529 0.242
0.485 0.162 0.590
0.273 0.877 0.468
0.340 0.149 0.025
0.612 0.006 0.314
0.988 0.165 0.587
0.766 0.651 0.861
0.572 0.122 0.108
0.906 0.977 0.697
0.674 0.870 0.972
0.771 0.880 0.467
0.751 0.139 0.903
0.396 0.984 0.808
0.478 0.803 0.087
0.325 0.118 0.133
0.823 0.508 0.914
0.560 0.654 0.364
0.741 0.138 0.245
0.079 0.122 0.100
0.696 0.138 0.530
0.661 0.466 0.473
0.940 0.342 0.633
0.269 0.665 0.964
0.696 0.256 0.029
0.058 0.445 0.975
0.166 0.469 0.474
0.413 0.041 0.076
0.761 0.691 0.247
0.070 0.673 0.082
0.996 0.773 0.809
0.154 0.511 0.763
0.178 0.520 0.351
0.434 0.550 0.739
0.501 0.807 0.416
0.395 0.982 0.409
0.016 0.820 0.701
0.933 0.500 0.416
0.941 0.310 0.526
0.938 0.564 0.030
0.087 0.940 0.199
0.438 0.351 0.251
0.584 0.200 0.410
0.150 0.455 0.081
0.555 0.444 0.974
0.572 0.024 0.605
0.118 0.210 0.812
0.251 0.367 0.404
0.341 0.561 0.528
0.759 0.876 0.359
0.569 0.463 0.581
0.336 0.558 0.636
0.006 0.205 0.914
0.440 0.348 0.632
0.148 0.827 0.587
0.219 0.271 0.033
0.939 0.539 0.744
0.941 0.337 0.237
0.762 0.689 0.586
0.260 0.168 0.929
0.201 0.124 0.526
0.224 0.337 0.152
0.732 0.351 0.144
0.090 0.713 0.752
0.498 0.778 0.807
0.751 0.369 0.406
0.653 0.507 0.765
0.262 0.668 0.583
0.894 0.985 0.409
0.444 0.514 0.142
0.760 0.815 0.750
0.988 0.810 0.089
0.393 0.787 0.315
0.502 0.233 0.309
0.080 0.212 0.696
0.060 0.655 0.361
0.159 0.861 0.979
0.562 0.482 0.866
0.565 0.663 0.068
0.261 0.874 0.075
0.935 0.367 0.917
0.560 0.675 0.472
0.590 0.484 0.250
0.643 0.833 0.585
0.653 0.794 0.262
0.071 0.466 0.582
0.259 0.820 0.748
0.678 0.514 0.352
0.996 0.217 0.302
0.832 0.147 0.749
0.438 0.302 0.526
0.399 0.786 0.911
0.096 0.991 0.912
0.243 0.138 0.249
0.511 0.224 0.201
0.001 0.805 0.416
0.152 0.792 0.262
0.775 0.670 0.969
0.413 0.820 0.581
0.185 0.862 0.857
0.321 0.134 0.412
0.110 0.004 0.316
0.061 0.674 0.469
0.432 0.503 0.419
0.408 0.980 0.689
0.515 0.832 0.699
0.652 0.464 0.087
0.343 0.530 0.246
0.266 0.644 0.855
0.259 0.878 0.360
0.582 0.959 0.914
0.513 0.047 0.665
0.510 0.937 0.152
0.188 0.700 0.809
0.000 0.019 0.654
0.688 0.676 0.304
0.685 0.691 0.808
0.016 0.987 0.163
0.197 0.696 0.308
0.314 0.305 0.995
0.821 0.668 0.098
0.004 0.698 0.584
0.342 0.298 0.835
0.996 0.640 0.257
0.512 0.342 0.094
0.490 0.668 0.923
0.817 0.319 0.327
0.522 0.030 0.503
0.186 0.668 0.165
0.659 0.268 0.912
0.156 0.665 0.669
0.496 0.634 0.243
0.990 0.305 0.421
0.689 0.358 0.243
0.689 0.024 0.746
0.350 0.656 0.403
0.156 0.973 0.077
0.011 0.319 0.086
0.496 0.316 0.416
0.670 0.356 0.578
0.187 0.027 0.744
0.499 0.997 0.005
0.828 0.311 0.825
0.663 0.056 0.412
0.998 0.683 0.914
0.826 0.972 0.599
0.007 0.999 0.507
0.648 0.960 0.065
0.154 0.324 0.576
0.845 0.035 0.905
0.669 0.674 0.664
0.324 0.326 0.324
0.507 0.696 0.589
0.160 0.054 0.412
0.325 0.978 0.599
0.850 0.662 0.414
0.822 0.640 0.734
0.322 0.639 0.748
0.009 0.003 0.001
0.167 0.286 0.905
0.194 0.364 0.248
0.660 0.658 0.164
0.168 0.386 0.412
0.358 0.716 0.252
0.668 0.954 0.913
0.146 0.317 0.753
0.853 0.002 0.755
0.843 0.665 0.588
0.175 0.967 0.921
0.471 0.614 0.081
0.856 0.712 0.251
0.355 0.001 0.752
0.667 0.306 0.092
0.668 0.383 0.412
0.651 0.321 0.760
0.174 0.313 0.094
0.154 0.980 0.259
0.652 0.976 0.256
0.666 0.026 0.591
0.170 0.022 0.589
0.662 0.653 0.017
0.170 0.659 0.017
0.829 0.320 0.183
0.164 0.673 0.517
0.004 0.009 0.846
0.331 0.329 0.186
0.331 0.329 0.685
0.001 0.004 0.347
0.499 0.004 0.852
0.831 0.332 0.684
0.317 0.321 0.483
0.815 0.307 0.984
0.820 0.344 0.488
0.504 0.007 0.344
0.669 0.676 0.519
```